Entry 1:
DFT (GGA-PBE) results for Cd3As2 after structural relaxation.

Geometry as CIF:
```
data_Cd3As2
_symmetry_space_group_name_H-M 'I 41/a c d'
_symmetry_Int_Tables_number 142
_cell_length_a 12.843
_cell_length_b 12.843
_cell_length_c 26.121
_cell_angle_alpha 90.00
_cell_angle_beta 90.00
_cell_angle_gamma 90.00
loop_
_symmetry_equiv_pos_as_xyz
'x,y,z'
'-x,-y,-z'
'-y+1/4,x+3/4,z+1/4'
'y+1/4,-x+3/4,-z+1/4'
'-x+1/2,-y,z+1/2'
'x+1/2,y,-z+1/2'
'y+1/4,-x+1/4,z+3/4'
'-y+1/4,x+1/4,-z+3/4'
'x,-y,-z+1/2'
'-x,y,z+1/2'
'-y+1/4,-x+1/4,-z+1/4'
'y+1/4,x+1/4,z+1/4'
'-x+1/2,y,-z'
'x+1/2,-y,z'
'y+1/4,x+3/4,-z+3/4'
'-y+1/4,-x+3/4,z+3/4'
'x+1/2,y+1/2,z+1/2'
'-x+1/2,-y+1/2,-z+1/2'
'-y+3/4,x+1/4,z+3/4'
'y+3/4,-x+1/4,-z+3/4'
'-x,-y+1/2,z'
'x,y+1/2,-z'
'y+3/4,-x+3/4,z+1/4'
'-y+3/4,x+3/4,-z+1/4'
'x+1/2,-y+1/2,-z'
'-x+1/2,y+1/2,z'
'-y+3/4,-x+3/4,-z+3/4'
'y+3/4,x+3/4,z+3/4'
'-x,y+1/2,-z+1/2'
'x,-y+1/2,z+1/2'
'y+3/4,x+1/4,-z+1/4'
'-y+3/4,-x+1/4,z+1/4'
loop_
_atom_site_label
_atom_site_type_symbol
_atom_site_fract_x
_atom_site_fract_y
_atom_site_fract_z
Cd1 Cd 0.111 0.131 0.432
Cd2 Cd 0.117 0.110 0.199
Cd3 Cd 0.124 0.097 0.567
As1 As 0.000 0.000 0.000
As2 As 0.000 0.250 0.125
As3 As 0.000 0.250 0.375
As4 As 0.029 0.000 0.750
As5 As 0.236 0.014 0.125
```

## Properties
raw total energy: -2.452 eV per atom
magnetization: 0.0 μB per formula unit
calculated density: 6.01 g/cm3

=====

Entry 2:
DFT (GGA-PBE) results for Cd3As2 after structural relaxation.

Geometry as CIF:
```
data_Cd3As2
_symmetry_space_group_name_H-M 'I 41/a c d'
_symmetry_Int_Tables_number 142
_cell_length_a 12.908
_cell_length_b 12.908
_cell_length_c 25.983
_cell_angle_alpha 90.00
_cell_angle_beta 90.00
_cell_angle_gamma 90.00
loop_
_symmetry_equiv_pos_as_xyz
'x,y,z'
'-x,-y,-z'
'-y+1/4,x+3/4,z+1/4'
'y+1/4,-x+3/4,-z+1/4'
'-x+1/2,-y,z+1/2'
'x+1/2,y,-z+1/2'
'y+1/4,-x+1/4,z+3/4'
'-y+1/4,x+1/4,-z+3/4'
'x,-y,-z+1/2'
'-x,y,z+1/2'
'-y+1/4,-x+1/4,-z+1/4'
'y+1/4,x+1/4,z+1/4'
'-x+1/2,y,-z'
'x+1/2,-y,z'
'y+1/4,x+3/4,-z+3/4'
'-y+1/4,-x+3/4,z+3/4'
'x+1/2,y+1/2,z+1/2'
'-x+1/2,-y+1/2,-z+1/2'
'-y+3/4,x+1/4,z+3/4'
'y+3/4,-x+1/4,-z+3/4'
'-x,-y+1/2,z'
'x,y+1/2,-z'
'y+3/4,-x+3/4,z+1/4'
'-y+3/4,x+3/4,-z+1/4'
'x+1/2,-y+1/2,-z'
'-x+1/2,y+1/2,z'
'-y+3/4,-x+3/4,-z+3/4'
'y+3/4,x+3/4,z+3/4'
'-x,y+1/2,-z+1/2'
'x,-y+1/2,z+1/2'
'y+3/4,x+1/4,-z+1/4'
'-y+3/4,-x+1/4,z+1/4'
loop_
_atom_site_label
_atom_site_type_symbol
_atom_site_fract_x
_atom_site_fract_y
_atom_site_fract_z
Cd1 Cd 0.108 0.138 0.323
Cd2 Cd 0.119 0.106 0.063
Cd3 Cd 0.119 0.110 0.698
As1 As 0.000 0.250 0.000
As2 As 0.008 0.004 0.627
As3 As 0.239 0.000 0.250
```

## Properties
raw total energy: -2.510 eV per atom
magnetization: 0.0 μB per formula unit
calculated density: 5.98 g/cm3

=====

Entry 3:
DFT (GGA-PBE) results for Cd3As2 after structural relaxation.

Geometry as CIF:
```
data_Cd3As2
_symmetry_space_group_name_H-M 'P 42/n b c'
_symmetry_Int_Tables_number 133
_cell_length_a 13.018
_cell_length_b 13.018
_cell_length_c 25.789
_cell_angle_alpha 90.00
_cell_angle_beta 90.00
_cell_angle_gamma 90.00
loop_
_symmetry_equiv_pos_as_xyz
'x,y,z'
'-x,-y,-z'
'-y+1/2,x,z+1/2'
'y+1/2,-x,-z+1/2'
'-x+1/2,-y+1/2,z'
'x+1/2,y+1/2,-z'
'y,-x+1/2,z+1/2'
'-y,x+1/2,-z+1/2'
'x,-y+1/2,-z'
'-x,y+1/2,z'
'-y+1/2,-x+1/2,-z+1/2'
'y+1/2,x+1/2,z+1/2'
'-x+1/2,y,-z'
'x+1/2,-y,z'
'y,x,-z+1/2'
'-y,-x,z+1/2'
loop_
_atom_site_label
_atom_site_type_symbol
_atom_site_fract_x
_atom_site_fract_y
_atom_site_fract_z
Cd1 Cd 0.103 0.130 0.188
Cd2 Cd 0.104 0.627 0.938
Cd3 Cd 0.107 0.637 0.571
Cd4 Cd 0.112 0.132 0.679
Cd5 Cd 0.139 0.139 0.054
Cd6 Cd 0.141 0.642 0.804
As1 As 0.000 0.250 0.000
As2 As 0.001 0.005 0.375
As3 As 0.002 0.245 0.747
As4 As 0.004 0.750 0.500
As5 As 0.250 0.250 0.126
As6 As 0.250 0.750 0.124
```

## Properties
raw total energy: -2.490 eV per atom
magnetization: 0.0 μB per formula unit
calculated density: 5.92 g/cm3